# 1
Computed, not measured: a relaxed Re crystal at the r²SCAN level of DFT.

Properties
ΔE_f in eV/atom: 0.01
Theoretical density in g cm⁻³: 20.9
Excess energy over the best structure of this formula in the dataset in kJ/mol of formula units: 1

Geometry as CIF:
```
data_Re
_space_group_name_H-M_alt 'P 1'
_space_group_IT_number 1
_space_group_name_Hall 'P 1'
_cell_length_a 2.768
_cell_length_b 2.768
_cell_length_c 20.096
_cell_angle_alpha 90.00
_cell_angle_beta 90.00
_cell_angle_gamma 120.00
loop_
_atom_site_label
_atom_site_type_symbol
_atom_site_fract_x
_atom_site_fract_y
_atom_site_fract_z
Re1 Re 0.000 0.000 0.000
Re2 Re 0.000 0.000 0.222
Re3 Re 0.000 0.000 0.778
Re4 Re 0.333 0.667 0.444
Re5 Re 0.333 0.667 0.667
Re6 Re 0.333 0.667 0.889
Re7 Re 0.667 0.333 0.111
Re8 Re 0.667 0.333 0.333
Re9 Re 0.667 0.333 0.556
```

***

# 2
Computed, not measured: a relaxed ReTeS crystal at the r²SCAN level of DFT.

Properties
ΔE_f in eV/atom: -0.44
Theoretical density in g cm⁻³: 8.8

Geometry as CIF:
```
data_ReTeS
_space_group_name_H-M_alt 'P 1'
_space_group_IT_number 1
_space_group_name_Hall 'P 1'
_cell_length_a 7.173
_cell_length_b 7.173
_cell_length_c 7.173
_cell_angle_alpha 60.00
_cell_angle_beta 60.00
_cell_angle_gamma 60.00
loop_
_atom_site_label
_atom_site_type_symbol
_atom_site_fract_x
_atom_site_fract_y
_atom_site_fract_z
Re1 Re 0.402 0.402 0.402
Re2 Re 0.402 0.402 0.793
Re3 Re 0.402 0.793 0.402
Re4 Re 0.793 0.402 0.402
Te1 Te 0.128 0.128 0.128
Te2 Te 0.128 0.128 0.616
Te3 Te 0.128 0.616 0.128
Te4 Te 0.616 0.128 0.128
S1 S 0.115 0.628 0.628
S2 S 0.628 0.115 0.628
S3 S 0.628 0.628 0.115
S4 S 0.628 0.628 0.628
```

***

# 3
Computed, not measured: a relaxed Sc5Re24 crystal at the r²SCAN level of DFT.

Properties
ΔE_f in eV/atom: -0.26
Theoretical density in g cm⁻³: 17.0

Geometry as CIF:
```
data_Sc5Re24
_space_group_name_H-M_alt 'P 1'
_space_group_IT_number 1
_space_group_name_Hall 'P 1'
_cell_length_a 8.414
_cell_length_b 8.414
_cell_length_c 8.414
_cell_angle_alpha 109.47
_cell_angle_beta 109.47
_cell_angle_gamma 109.47
loop_
_atom_site_label
_atom_site_type_symbol
_atom_site_fract_x
_atom_site_fract_y
_atom_site_fract_z
Sc1 Sc 0.000 0.000 0.000
Sc2 Sc 0.000 0.000 0.633
Sc3 Sc 0.000 0.633 0.000
Sc4 Sc 0.367 0.367 0.367
Sc5 Sc 0.633 0.000 0.000
Re1 Re 0.000 0.192 0.378
Re2 Re 0.000 0.378 0.192
Re3 Re 0.000 0.397 0.677
Re4 Re 0.000 0.677 0.397
Re5 Re 0.185 0.808 0.808
Re6 Re 0.192 0.000 0.378
Re7 Re 0.192 0.378 0.000
Re8 Re 0.280 0.603 0.603
Re9 Re 0.323 0.323 0.720
Re10 Re 0.323 0.720 0.323
Re11 Re 0.378 0.000 0.192
Re12 Re 0.378 0.192 0.000
Re13 Re 0.397 0.000 0.677
Re14 Re 0.397 0.677 0.000
Re15 Re 0.603 0.280 0.603
Re16 Re 0.603 0.603 0.280
Re17 Re 0.622 0.622 0.815
Re18 Re 0.622 0.815 0.622
Re19 Re 0.677 0.000 0.397
Re20 Re 0.677 0.397 0.000
Re21 Re 0.720 0.323 0.323
Re22 Re 0.808 0.185 0.808
Re23 Re 0.808 0.808 0.185
Re24 Re 0.815 0.622 0.622
```

***

# 4
Computed, not measured: a relaxed Sc2Re3Si4 crystal at the r²SCAN level of DFT.

Properties
ΔE_f in eV/atom: -0.67
Theoretical density in g cm⁻³: 9.3

Geometry as CIF:
```
data_Sc2Re3Si4
_space_group_name_H-M_alt 'P 1'
_space_group_IT_number 1
_space_group_name_Hall 'P 1'
_cell_length_a 6.603
_cell_length_b 6.603
_cell_length_c 12.416
_cell_angle_alpha 90.00
_cell_angle_beta 90.00
_cell_angle_gamma 90.00
loop_
_atom_site_label
_atom_site_type_symbol
_atom_site_fract_x
_atom_site_fract_y
_atom_site_fract_z
Sc1 Sc 0.008 0.342 0.219
Sc2 Sc 0.158 0.508 0.469
Sc3 Sc 0.342 0.008 0.781
Sc4 Sc 0.492 0.842 0.031
Sc5 Sc 0.508 0.158 0.531
Sc6 Sc 0.658 0.992 0.281
Sc7 Sc 0.842 0.492 0.969
Sc8 Sc 0.992 0.658 0.719
Re1 Re 0.019 0.186 0.617
Re2 Re 0.168 0.168 0.000
Re3 Re 0.186 0.019 0.383
Re4 Re 0.314 0.519 0.867
Re5 Re 0.332 0.668 0.250
Re6 Re 0.481 0.686 0.633
Re7 Re 0.519 0.314 0.133
Re8 Re 0.668 0.332 0.750
Re9 Re 0.686 0.481 0.367
Re10 Re 0.814 0.981 0.883
Re11 Re 0.832 0.832 0.500
Re12 Re 0.981 0.814 0.117
Si1 Si 0.026 0.278 0.812
Si2 Si 0.120 0.805 0.931
Si3 Si 0.195 0.880 0.569
Si4 Si 0.222 0.526 0.062
Si5 Si 0.278 0.026 0.188
Si6 Si 0.305 0.380 0.681
Si7 Si 0.380 0.305 0.319
Si8 Si 0.474 0.778 0.438
Si9 Si 0.526 0.222 0.938
Si10 Si 0.620 0.695 0.819
Si11 Si 0.695 0.620 0.181
Si12 Si 0.722 0.974 0.688
Si13 Si 0.778 0.474 0.562
Si14 Si 0.805 0.120 0.069
Si15 Si 0.880 0.195 0.431
Si16 Si 0.974 0.722 0.312
```

***

# 5
Computed, not measured: a relaxed ScReTc2 crystal at the r²SCAN level of DFT.

Properties
ΔE_f in eV/atom: -0.23
Theoretical density in g cm⁻³: 11.6

Geometry as CIF:
```
data_ScReTc2
_space_group_name_H-M_alt 'P 1'
_space_group_IT_number 1
_space_group_name_Hall 'P 1'
_cell_length_a 6.257
_cell_length_b 6.257
_cell_length_c 6.257
_cell_angle_alpha 90.00
_cell_angle_beta 90.00
_cell_angle_gamma 90.00
loop_
_atom_site_label
_atom_site_type_symbol
_atom_site_fract_x
_atom_site_fract_y
_atom_site_fract_z
Sc1 Sc 0.000 0.000 0.000
Sc2 Sc 0.000 0.500 0.500
Sc3 Sc 0.500 0.000 0.500
Sc4 Sc 0.500 0.500 0.000
Re1 Re 0.000 0.000 0.500
Re2 Re 0.000 0.500 0.000
Re3 Re 0.500 0.000 0.000
Re4 Re 0.500 0.500 0.500
Tc1 Tc 0.250 0.250 0.250
Tc2 Tc 0.250 0.250 0.750
Tc3 Tc 0.250 0.750 0.250
Tc4 Tc 0.250 0.750 0.750
Tc5 Tc 0.750 0.250 0.250
Tc6 Tc 0.750 0.250 0.750
Tc7 Tc 0.750 0.750 0.250
Tc8 Tc 0.750 0.750 0.750
```

***

# 6
Computed, not measured: a relaxed Tl2Re3Se6 crystal at the r²SCAN level of DFT.

Properties
ΔE_f in eV/atom: -0.50
Theoretical density in g cm⁻³: 8.8

Geometry as CIF:
```
data_Tl2Re3Se6
_space_group_name_H-M_alt 'P 1'
_space_group_IT_number 1
_space_group_name_Hall 'P 1'
_cell_length_a 10.078
_cell_length_b 10.078
_cell_length_c 12.364
_cell_angle_alpha 90.55
_cell_angle_beta 90.55
_cell_angle_gamma 59.86
loop_
_atom_site_label
_atom_site_type_symbol
_atom_site_fract_x
_atom_site_fract_y
_atom_site_fract_z
Tl1 Tl 0.092 0.908 0.750
Tl2 Tl 0.146 0.642 0.510
Tl3 Tl 0.287 0.713 0.250
Tl4 Tl 0.358 0.854 0.990
Tl5 Tl 0.642 0.146 0.010
Tl6 Tl 0.713 0.287 0.750
Tl7 Tl 0.854 0.358 0.490
Tl8 Tl 0.908 0.092 0.250
Re1 Re 0.029 0.384 0.874
Re2 Re 0.100 0.320 0.081
Re3 Re 0.186 0.492 0.977
Re4 Re 0.320 0.100 0.581
Re5 Re 0.384 0.029 0.374
Re6 Re 0.492 0.186 0.477
Re7 Re 0.508 0.814 0.523
Re8 Re 0.616 0.971 0.626
Re9 Re 0.680 0.900 0.419
Re10 Re 0.814 0.508 0.023
Re11 Re 0.900 0.680 0.919
Re12 Re 0.971 0.616 0.126
Se1 Se 0.055 0.779 0.022
Se2 Se 0.063 0.226 0.695
Se3 Se 0.110 0.553 0.780
Se4 Se 0.206 0.304 0.435
Se5 Se 0.221 0.945 0.478
Se6 Se 0.226 0.063 0.195
Se7 Se 0.249 0.428 0.174
Se8 Se 0.304 0.206 0.935
Se9 Se 0.428 0.249 0.674
Se10 Se 0.436 0.489 0.920
Se11 Se 0.447 0.890 0.720
Se12 Se 0.489 0.436 0.420
Se13 Se 0.511 0.564 0.580
Se14 Se 0.553 0.110 0.280
Se15 Se 0.564 0.511 0.080
Se16 Se 0.572 0.751 0.326
Se17 Se 0.696 0.794 0.065
Se18 Se 0.751 0.572 0.826
Se19 Se 0.774 0.937 0.805
Se20 Se 0.779 0.055 0.522
Se21 Se 0.794 0.696 0.565
Se22 Se 0.890 0.447 0.220
Se23 Se 0.937 0.774 0.305
Se24 Se 0.945 0.221 0.978
```

***

What is the ΔE_f in the third record?
-0.26 eV/atom